1.
Computed, not measured: a relaxed Ca3Ga2SiSn2O12 crystal at the GGA-PBE level of DFT.

Computed properties:
Energy of formation: -2812.8 meV/atom
Space-group type: I4_1/acd (142)
E: -6.645 eV per atom

Lattice parameters (Å, degrees): 10.9305 10.9305 10.9305 109.06 109.06 110.29
Fractional coordinates of all 80 atoms:
Ca1 0.1254 0.2500 0.3754
Ca2 0.1250 0.3750 0.7500
Ca3 0.2500 0.3746 0.1246
Ca4 0.2500 0.8746 0.6246
Ca5 0.3750 0.1250 0.2500
Ca6 0.3746 0.7500 0.1246
Ca7 0.6254 0.2500 0.8754
Ca8 0.6250 0.8750 0.7500
Ca9 0.7500 0.1254 0.3754
Ca10 0.7500 0.6254 0.8754
Ca11 0.8750 0.6250 0.2500
Ca12 0.8746 0.7500 0.6246
Ga1 0.1243 0.7500 0.8743
Ga2 0.2500 0.1243 0.8743
Ga3 0.2500 0.6243 0.3743
Ga4 0.3757 0.2500 0.6257
Ga5 0.6243 0.7500 0.3743
Ga6 0.7500 0.3757 0.6257
Ga7 0.7500 0.8757 0.1257
Ga8 0.8757 0.2500 0.1257
Si1 0.1250 0.8750 0.2500
Si2 0.3750 0.6250 0.7500
Si3 0.6250 0.3750 0.2500
Si4 0.8750 0.1250 0.7500
Sn1 0.0000 0.0000 0.0000
Sn2 0.0000 0.0000 0.5000
Sn3 0.0000 0.5000 0.0000
Sn4 0.0000 0.5000 0.5000
Sn5 0.5000 0.0000 0.0000
Sn6 0.5000 0.0000 0.5000
Sn7 0.5000 0.5000 0.0000
Sn8 0.5000 0.5000 0.5000
O1 0.0039 0.2990 0.8883
O2 0.0253 0.2036 0.1250
O3 0.0786 0.7036 0.6783
O4 0.0893 0.8844 0.3883
O5 0.0955 0.6234 0.4150
O6 0.0997 0.9747 0.6783
O7 0.1156 0.0039 0.2049
O8 0.1234 0.5955 0.9150
O9 0.1805 0.2084 0.5850
O10 0.2010 0.4961 0.6117
O11 0.2036 0.5786 0.1783
O12 0.2084 0.1234 0.0279
O13 0.2916 0.3195 0.9150
O14 0.2964 0.4747 0.3750
O15 0.2990 0.9107 0.2951
O16 0.3195 0.9045 0.0279
O17 0.3766 0.2916 0.4721
O18 0.3844 0.5893 0.8883
O19 0.4003 0.0786 0.8750
O20 0.4045 0.8195 0.5279
O21 0.4107 0.7990 0.7951
O22 0.4214 0.0997 0.6250
O23 0.4747 0.5997 0.1783
O24 0.4961 0.3844 0.2951
O25 0.5039 0.6156 0.7049
O26 0.5253 0.4003 0.8217
O27 0.5786 0.9003 0.3750
O28 0.5893 0.2010 0.2049
O29 0.5955 0.1805 0.4721
O30 0.5997 0.9214 0.1250
O31 0.6156 0.4107 0.1117
O32 0.6234 0.7084 0.5279
O33 0.6805 0.0955 0.9721
O34 0.7010 0.0893 0.7049
O35 0.7036 0.5253 0.6250
O36 0.7084 0.6805 0.0850
O37 0.7916 0.8766 0.9721
O38 0.7964 0.4214 0.8217
O39 0.7990 0.5039 0.3883
O40 0.8195 0.7916 0.4150
O41 0.8766 0.4045 0.0850
O42 0.8844 0.9961 0.7951
O43 0.9003 0.0253 0.3217
O44 0.9045 0.3766 0.5850
O45 0.9107 0.1156 0.6117
O46 0.9214 0.2964 0.3217
O47 0.9747 0.7964 0.8750
O48 0.9961 0.7010 0.1117

=====

2.
Computed, not measured: a relaxed CaYGa3O7 crystal at the GGA-PBE level of DFT.

Computed properties:
Energy of formation: -2816.3 meV/atom
Space-group type: Cmm2 (35)
E: -6.765 eV per atom

Lattice parameters (Å, degrees): 7.9247 7.9247 5.2324 90.00 90.00 90.49
Fractional coordinates of all 24 atoms:
Ca1 0.1611 0.8389 0.0000
Ca2 0.8389 0.1611 0.0000
Y1 0.3392 0.3392 0.9686
Y2 0.6608 0.6608 0.9686
Ga1 0.0000 0.5000 0.4856
Ga2 0.1465 0.1465 0.5213
Ga3 0.3564 0.6436 0.4481
Ga4 0.5000 0.0000 0.4856
Ga5 0.6436 0.3564 0.4481
Ga6 0.8535 0.8535 0.5213
O1 0.0000 0.0000 0.6848
O2 0.1017 0.3462 0.7027
O3 0.1522 0.1522 0.1753
O4 0.1611 0.5883 0.2692
O5 0.3462 0.1017 0.7027
O6 0.3708 0.6292 0.7954
O7 0.4117 0.8389 0.2692
O8 0.5000 0.5000 0.2662
O9 0.5883 0.1611 0.2692
O10 0.6292 0.3708 0.7954
O11 0.6538 0.8983 0.7027
O12 0.8389 0.4117 0.2692
O13 0.8478 0.8478 0.1753
O14 0.8983 0.6538 0.7027

=====

3.
Computed, not measured: a relaxed Ca3Ga2P4 crystal at the GGA-PBE level of DFT.

Computed properties:
Energy of formation: -874.6 meV/atom
Space-group type: C2/c (15)
E: -4.622 eV per atom

Lattice parameters (Å, degrees): 8.0384 8.0384 6.4815 90.85 90.85 76.09
Fractional coordinates of all 18 atoms:
Ca1 0.1003 0.8997 0.7500
Ca2 0.2517 0.5052 0.0270
Ca3 0.4948 0.7483 0.4730
Ca4 0.5052 0.2517 0.5270
Ca5 0.7483 0.4948 0.9730
Ca6 0.8997 0.1003 0.2500
Ga1 0.0807 0.3246 0.5903
Ga2 0.3246 0.0807 0.0903
Ga3 0.6754 0.9193 0.9097
Ga4 0.9193 0.6754 0.4097
P1 0.0651 0.2428 0.9389
P2 0.2162 0.5590 0.5217
P3 0.2428 0.0651 0.4389
P4 0.4410 0.7838 0.9783
P5 0.5590 0.2162 0.0217
P6 0.7572 0.9349 0.5611
P7 0.7838 0.4410 0.4783
P8 0.9349 0.7572 0.0611

=====

4.
Computed, not measured: a relaxed CaGa2P2 crystal at the GGA-PBE level of DFT.

Computed properties:
Energy of formation: -672.9 meV/atom
Space-group type: P6_3/mmc (194)
E: -4.451 eV per atom

Lattice parameters (Å, degrees): 3.8726 3.8726 16.5312 90.00 90.00 120.00
Fractional coordinates of all 10 atoms:
Ca1 0.0000 0.0000 0.0000
Ca2 0.0000 0.0000 0.5000
Ga1 0.3333 0.6667 0.1753
Ga2 0.3333 0.6667 0.3247
Ga3 0.6667 0.3333 0.6753
Ga4 0.6667 0.3333 0.8247
P1 0.3333 0.6667 0.6148
P2 0.3333 0.6667 0.8852
P3 0.6667 0.3333 0.1148
P4 0.6667 0.3333 0.3852

=====

What is the formula in the second record?
CaYGa3O7